*a*
This record from the Materials Project describes crystalline MgMn5O7F at its relaxed geometry. The functional is PBE+U.

CIF file:
```
data_MgMn5O7F
_symmetry_space_group_name_H-M 'C 1 m 1'
_symmetry_Int_Tables_number 8
_symmetry_space_group_name_Hall 'C -2y'
_cell_length_a 10.292
_cell_length_b 6.327
_cell_length_c 6.290
_cell_angle_alpha 90.00
_cell_angle_beta 123.79
_cell_angle_gamma 90.00
loop_
_atom_site_label
_atom_site_type_symbol
_atom_site_fract_x
_atom_site_fract_y
_atom_site_fract_z
Mg1 Mg 0.000 0.000 0.000
Mn1 Mn 0.227 0.250 0.863
Mn2 Mn 0.356 0.500 0.447
Mn3 Mn 0.472 0.000 0.868
Mn4 Mn 0.498 0.000 0.387
O1 O 0.000 0.258 0.656
O2 O 0.205 0.500 0.054
O3 O 0.247 0.000 0.697
O4 O 0.257 0.500 0.662
O5 O 0.454 0.230 0.101
F1 F 0.221 0.000 0.134
```

*b*
This record from the Materials Project describes crystalline MgMn5O7F at its relaxed geometry. The functional is PBE+U.

CIF file:
```
data_MgMn5O7F
_symmetry_space_group_name_H-M 'R 3 m'
_symmetry_Int_Tables_number 160
_symmetry_space_group_name_Hall 'R 3 -2"'
_cell_length_a 6.1729
_cell_length_b 6.1729
_cell_length_c 15.2817
_cell_angle_alpha 90.00
_cell_angle_beta 90.00
_cell_angle_gamma 120.00
loop_
_atom_site_label
_atom_site_type_symbol
_atom_site_fract_x
_atom_site_fract_y
_atom_site_fract_z
Mg1 Mg 0.0000 0.0000 0.0000
Mn1 Mn 0.0000 0.0000 0.3965
Mn2 Mn 0.0000 0.0000 0.7832
Mn3 Mn 0.1721 0.3443 0.2348
O1 O 0.0000 0.0000 0.6510
O2 O 0.0351 0.5175 0.1631
O3 O 0.1823 0.3646 0.9643
F1 F 0.0000 0.0000 0.1288
```

Most stable to least stable, the ends of the list are *b* and *a*.

*a*
This record from the Materials Project describes crystalline MgMn12O17F7 at its relaxed geometry. The functional is PBE+U.

CIF file:
```
data_MgMn12O17F7
_symmetry_space_group_name_H-M 'P 1'
_symmetry_Int_Tables_number 1
_symmetry_space_group_name_Hall 'P 1'
_cell_length_a 4.776
_cell_length_b 5.655
_cell_length_c 15.147
_cell_angle_alpha 91.26
_cell_angle_beta 90.14
_cell_angle_gamma 90.55
loop_
_atom_site_label
_atom_site_type_symbol
_atom_site_fract_x
_atom_site_fract_y
_atom_site_fract_z
Mg1 Mg 0.000 0.000 0.000
Mn1 Mn 0.023 0.397 0.652
Mn2 Mn 0.026 0.710 0.164
Mn3 Mn 0.039 0.763 0.808
Mn4 Mn 0.050 0.465 0.979
Mn5 Mn 0.466 0.887 0.330
Mn6 Mn 0.479 0.193 0.501
Mn7 Mn 0.479 0.206 0.170
Mn8 Mn 0.491 0.933 0.662
Mn9 Mn 0.500 0.970 0.996
Mn10 Mn 0.506 0.226 0.827
Mn11 Mn 0.967 0.386 0.324
Mn12 Mn 0.991 0.728 0.489
O1 O 0.174 0.664 0.380
O2 O 0.200 0.425 0.218
O3 O 0.208 0.445 0.543
O4 O 0.237 0.682 0.702
O5 O 0.238 0.736 0.041
O6 O 0.244 0.493 0.872
O7 O 0.252 0.928 0.223
O8 O 0.263 0.965 0.558
O9 O 0.275 0.997 0.892
O10 O 0.280 0.169 0.723
O11 O 0.290 0.214 0.051
O12 O 0.688 0.938 0.439
O13 O 0.693 0.159 0.275
O14 O 0.708 0.183 0.603
O15 O 0.721 0.959 0.767
O16 O 0.730 0.976 0.099
O17 O 0.747 0.218 0.936
F1 F 0.230 0.164 0.397
F2 F 0.719 0.425 0.435
F3 F 0.727 0.653 0.260
F4 F 0.751 0.698 0.600
F5 F 0.773 0.448 0.764
F6 F 0.775 0.747 0.933
F7 F 0.806 0.481 0.089
```

*b*
This record from the Materials Project describes crystalline MgMn12O17F7 at its relaxed geometry. The functional is PBE+U.

CIF file:
```
data_MgMn12O17F7
_symmetry_space_group_name_H-M 'P 1'
_symmetry_Int_Tables_number 1
_symmetry_space_group_name_Hall 'P 1'
_cell_length_a 4.790
_cell_length_b 5.733
_cell_length_c 15.043
_cell_angle_alpha 91.84
_cell_angle_beta 92.24
_cell_angle_gamma 90.97
loop_
_atom_site_label
_atom_site_type_symbol
_atom_site_fract_x
_atom_site_fract_y
_atom_site_fract_z
Mg1 Mg 0.000 0.000 0.000
Mn1 Mn 0.009 0.540 0.345
Mn2 Mn 0.023 0.265 0.516
Mn3 Mn 0.041 0.558 0.675
Mn4 Mn 0.045 0.295 0.835
Mn5 Mn 0.450 0.720 0.166
Mn6 Mn 0.478 0.274 0.997
Mn7 Mn 0.492 0.753 0.833
Mn8 Mn 0.502 0.081 0.666
Mn9 Mn 0.509 0.729 0.503
Mn10 Mn 0.513 0.036 0.336
Mn11 Mn 0.983 0.523 0.013
Mn12 Mn 0.996 0.226 0.189
O1 O 0.167 0.278 0.071
O2 O 0.193 0.758 0.067
O3 O 0.201 0.488 0.236
O4 O 0.247 0.518 0.912
O5 O 0.248 0.506 0.569
O6 O 0.270 0.338 0.737
O7 O 0.285 0.062 0.905
O8 O 0.287 0.987 0.228
O9 O 0.291 0.817 0.720
O10 O 0.301 0.022 0.556
O11 O 0.311 0.769 0.392
O12 O 0.679 0.485 0.089
O13 O 0.775 0.265 0.289
O14 O 0.801 0.508 0.453
O15 O 0.812 0.272 0.938
O16 O 0.815 0.292 0.618
O17 O 0.832 0.539 0.781
F1 F 0.252 0.270 0.409
F2 F 0.729 0.018 0.104
F3 F 0.737 0.756 0.264
F4 F 0.761 0.757 0.947
F5 F 0.764 0.774 0.614
F6 F 0.769 0.053 0.779
F7 F 0.773 0.019 0.448
```

*c*
This record from the Materials Project describes crystalline MgMn12O17F7 at its relaxed geometry. The functional is PBE+U.

CIF file:
```
data_MgMn12O17F7
_symmetry_space_group_name_H-M 'P 1'
_symmetry_Int_Tables_number 1
_symmetry_space_group_name_Hall 'P 1'
_cell_length_a 4.784
_cell_length_b 5.721
_cell_length_c 14.992
_cell_angle_alpha 90.59
_cell_angle_beta 93.48
_cell_angle_gamma 90.16
loop_
_atom_site_label
_atom_site_type_symbol
_atom_site_fract_x
_atom_site_fract_y
_atom_site_fract_z
Mg1 Mg 0.000 0.000 0.000
Mn1 Mn 0.011 0.581 0.670
Mn2 Mn 0.037 0.289 0.834
Mn3 Mn 0.441 0.735 0.173
Mn4 Mn 0.454 0.094 0.337
Mn5 Mn 0.462 0.747 0.495
Mn6 Mn 0.483 0.270 0.000
Mn7 Mn 0.486 0.764 0.832
Mn8 Mn 0.506 0.085 0.658
Mn9 Mn 0.965 0.260 0.184
Mn10 Mn 0.981 0.554 0.344
Mn11 Mn 0.989 0.523 0.011
Mn12 Mn 0.997 0.288 0.509
O1 O 0.169 0.275 0.072
O2 O 0.169 0.517 0.234
O3 O 0.194 0.755 0.066
O4 O 0.200 0.321 0.401
O5 O 0.218 0.527 0.565
O6 O 0.244 0.038 0.227
O7 O 0.249 0.799 0.388
O8 O 0.252 0.517 0.916
O9 O 0.265 0.041 0.552
O10 O 0.282 0.056 0.903
O11 O 0.288 0.824 0.720
O12 O 0.703 0.476 0.095
O13 O 0.741 0.306 0.281
O14 O 0.762 0.532 0.447
O15 O 0.795 0.300 0.615
O16 O 0.804 0.276 0.939
O17 O 0.825 0.546 0.781
F1 F 0.294 0.325 0.736
F2 F 0.717 0.789 0.280
F3 F 0.718 0.796 0.602
F4 F 0.721 0.015 0.105
F5 F 0.722 0.052 0.444
F6 F 0.755 0.762 0.946
F7 F 0.756 0.047 0.775
```

Most stable to least stable, the ends of the list are *b* and *a*.

*a*
This record from the Materials Project describes crystalline MgMn5O9F at its relaxed geometry. The functional is PBE+U.

CIF file:
```
data_MgMn5O9F
_symmetry_space_group_name_H-M 'P 1'
_symmetry_Int_Tables_number 1
_symmetry_space_group_name_Hall 'P 1'
_cell_length_a 5.142
_cell_length_b 5.259
_cell_length_c 7.988
_cell_angle_alpha 108.34
_cell_angle_beta 100.76
_cell_angle_gamma 101.13
loop_
_atom_site_label
_atom_site_type_symbol
_atom_site_fract_x
_atom_site_fract_y
_atom_site_fract_z
Mg1 Mg 0.000 0.000 0.000
Mn1 Mn 0.084 0.187 0.683
Mn2 Mn 0.297 0.597 0.089
Mn3 Mn 0.496 0.947 0.486
Mn4 Mn 0.696 0.396 0.897
Mn5 Mn 0.901 0.759 0.294
O1 O 0.047 0.600 0.876
O2 O 0.148 0.800 0.515
O3 O 0.222 0.931 0.228
O4 O 0.320 0.238 0.924
O5 O 0.540 0.602 0.311
O6 O 0.664 0.752 0.056
O7 O 0.763 0.051 0.764
O8 O 0.842 0.105 0.447
O9 O 0.979 0.413 0.141
F1 F 0.438 0.338 0.626
```

*b*
This record from the Materials Project describes crystalline MgMn5O9F at its relaxed geometry. The functional is PBE+U.

CIF file:
```
data_MgMn5O9F
_symmetry_space_group_name_H-M 'P 1'
_symmetry_Int_Tables_number 1
_symmetry_space_group_name_Hall 'P 1'
_cell_length_a 5.112
_cell_length_b 5.289
_cell_length_c 8.087
_cell_angle_alpha 70.99
_cell_angle_beta 72.44
_cell_angle_gamma 78.51
loop_
_atom_site_label
_atom_site_type_symbol
_atom_site_fract_x
_atom_site_fract_y
_atom_site_fract_z
Mg1 Mg 0.000 0.000 0.000
Mn1 Mn 0.098 0.475 0.290
Mn2 Mn 0.294 0.499 0.891
Mn3 Mn 0.476 0.485 0.491
Mn4 Mn 0.694 0.520 0.087
Mn5 Mn 0.879 0.507 0.698
O1 O 0.047 0.294 0.118
O2 O 0.117 0.657 0.462
O3 O 0.200 0.284 0.772
O4 O 0.354 0.716 0.029
O5 O 0.465 0.316 0.312
O6 O 0.519 0.668 0.656
O7 O 0.655 0.307 0.938
O8 O 0.774 0.711 0.227
O9 O 0.950 0.725 0.874
F1 F 0.813 0.251 0.534
```

Most stable to least stable, the ends of the list are *b* and *a*.

*a*
This record from the Materials Project describes crystalline MgMn6O5F7 at its relaxed geometry. The functional is PBE+U.

CIF file:
```
data_MgMn6O5F7
_symmetry_space_group_name_H-M 'C 1 2 1'
_symmetry_Int_Tables_number 5
_symmetry_space_group_name_Hall 'C 2y'
_cell_length_a 10.677
_cell_length_b 6.555
_cell_length_c 6.621
_cell_angle_alpha 90.00
_cell_angle_beta 102.09
_cell_angle_gamma 90.00
loop_
_atom_site_label
_atom_site_type_symbol
_atom_site_fract_x
_atom_site_fract_y
_atom_site_fract_z
Mg1 Mg 0.000 0.000 0.000
Mn1 Mn 0.000 0.265 0.500
Mn2 Mn 0.000 0.478 0.000
Mn3 Mn 0.151 0.721 0.640
Mn4 Mn 0.242 0.235 0.885
O1 O 0.000 0.555 0.500
O2 O 0.044 0.257 0.816
O3 O 0.084 0.714 0.897
F1 F 0.000 0.960 0.500
F2 F 0.182 0.028 0.158
F3 F 0.214 0.428 0.178
F4 F 0.222 0.241 0.551
```

*b*
This record from the Materials Project describes crystalline MgMn6O5F7 at its relaxed geometry. The functional is PBE+U.

CIF file:
```
data_MgMn6O5F7
_symmetry_space_group_name_H-M 'P 1'
_symmetry_Int_Tables_number 1
_symmetry_space_group_name_Hall 'P 1'
_cell_length_a 5.893
_cell_length_b 6.103
_cell_length_c 7.308
_cell_angle_alpha 70.45
_cell_angle_beta 74.55
_cell_angle_gamma 78.90
loop_
_atom_site_label
_atom_site_type_symbol
_atom_site_fract_x
_atom_site_fract_y
_atom_site_fract_z
Mg1 Mg 0.000 0.000 0.000
Mn1 Mn 0.325 0.802 0.673
Mn2 Mn 0.386 0.737 0.204
Mn3 Mn 0.570 0.184 0.831
Mn4 Mn 0.655 0.174 0.361
Mn5 Mn 0.940 0.486 0.002
Mn6 Mn 0.985 0.466 0.523
O1 O 0.234 0.655 0.488
O2 O 0.351 0.925 0.920
O3 O 0.620 0.470 0.172
O4 O 0.730 0.290 0.540
O5 O 0.893 0.327 0.819
F1 F 0.003 0.128 0.212
F2 F 0.022 0.633 0.212
F3 F 0.303 0.166 0.483
F4 F 0.306 0.459 0.891
F5 F 0.630 0.014 0.144
F6 F 0.683 0.833 0.522
F7 F 0.935 0.841 0.832
```

*c*
This record from the Materials Project describes crystalline MgMn6O5F7 at its relaxed geometry. The functional is PBE+U.

CIF file:
```
data_MgMn6O5F7
_symmetry_space_group_name_H-M 'P 1'
_symmetry_Int_Tables_number 1
_symmetry_space_group_name_Hall 'P 1'
_cell_length_a 5.885
_cell_length_b 6.061
_cell_length_c 7.426
_cell_angle_alpha 69.68
_cell_angle_beta 73.78
_cell_angle_gamma 77.49
loop_
_atom_site_label
_atom_site_type_symbol
_atom_site_fract_x
_atom_site_fract_y
_atom_site_fract_z
Mg1 Mg 0.000 0.000 0.000
Mn1 Mn 0.016 0.501 0.989
Mn2 Mn 0.037 0.475 0.491
Mn3 Mn 0.354 0.873 0.654
Mn4 Mn 0.392 0.813 0.157
Mn5 Mn 0.622 0.210 0.824
Mn6 Mn 0.634 0.174 0.326
O1 O 0.115 0.662 0.185
O2 O 0.296 0.207 0.477
O3 O 0.378 0.991 0.882
O4 O 0.625 0.039 0.103
O5 O 0.914 0.340 0.798
F1 F 0.017 0.154 0.189
F2 F 0.296 0.725 0.452
F3 F 0.371 0.513 0.828
F4 F 0.657 0.528 0.141
F5 F 0.721 0.810 0.507
F6 F 0.725 0.294 0.531
F7 F 0.972 0.857 0.807
```

*d*
This record from the Materials Project describes crystalline MgMn6O5F7 at its relaxed geometry. The functional is PBE+U.

CIF file:
```
data_MgMn6O5F7
_symmetry_space_group_name_H-M 'C 1 2 1'
_symmetry_Int_Tables_number 5
_symmetry_space_group_name_Hall 'C 2y'
_cell_length_a 9.198
_cell_length_b 7.307
_cell_length_c 7.105
_cell_angle_alpha 90.00
_cell_angle_beta 105.63
_cell_angle_gamma 90.00
loop_
_atom_site_label
_atom_site_type_symbol
_atom_site_fract_x
_atom_site_fract_y
_atom_site_fract_z
Mg1 Mg 0.000 0.000 0.000
Mn1 Mn 0.000 0.630 0.000
Mn2 Mn 0.000 0.831 0.500
Mn3 Mn 0.142 0.292 0.660
Mn4 Mn 0.196 0.294 0.156
O1 O 0.000 0.123 0.500
O2 O 0.051 0.272 0.870
O3 O 0.081 0.813 0.827
F1 F 0.000 0.514 0.500
F2 F 0.198 0.581 0.201
F3 F 0.208 0.994 0.187
F4 F 0.239 0.801 0.537
```

Most stable to least stable, the ends of the list are *a* and *b*.

*a*
This record from the Materials Project describes crystalline Na3MgMoO3F3 at its relaxed geometry. The functional is PBE+U.

CIF file:
```
data_Na3MgMoO3F3
_symmetry_space_group_name_H-M 'P 1'
_symmetry_Int_Tables_number 1
_symmetry_space_group_name_Hall 'P 1'
_cell_length_a 5.548
_cell_length_b 5.560
_cell_length_c 6.325
_cell_angle_alpha 91.78
_cell_angle_beta 113.86
_cell_angle_gamma 119.16
loop_
_atom_site_label
_atom_site_type_symbol
_atom_site_fract_x
_atom_site_fract_y
_atom_site_fract_z
Na1 Na 0.000 0.000 0.000
Na2 Na 0.066 0.533 0.615
Na3 Na 0.359 0.174 0.543
Mg1 Mg 0.730 0.353 0.096
Mo1 Mo 0.484 0.734 0.211
O1 O 0.186 0.738 0.279
O2 O 0.581 0.457 0.315
O3 O 0.861 0.108 0.298
F1 F 0.309 0.983 0.869
F2 F 0.534 0.581 0.904
F3 F 0.862 0.307 0.852
```

*b*
This record from the Materials Project describes crystalline Na3MgMoO3F3 at its relaxed geometry. The functional is PBE+U.

CIF file:
```
data_Na3MgMoO3F3
_symmetry_space_group_name_H-M 'P 1'
_symmetry_Int_Tables_number 1
_symmetry_space_group_name_Hall 'P 1'
_cell_length_a 5.672
_cell_length_b 5.716
_cell_length_c 5.738
_cell_angle_alpha 106.85
_cell_angle_beta 117.69
_cell_angle_gamma 102.40
loop_
_atom_site_label
_atom_site_type_symbol
_atom_site_fract_x
_atom_site_fract_y
_atom_site_fract_z
Na1 Na 0.000 0.000 0.000
Na2 Na 0.174 0.591 0.343
Na3 Na 0.741 0.401 0.513
Mg1 Mg 0.595 0.762 0.162
Mo1 Mo 0.398 0.191 0.780
O1 O 0.344 0.402 0.084
O2 O 0.532 0.943 0.901
O3 O 0.724 0.519 0.930
F1 F 0.070 0.253 0.453
F2 F 0.433 0.977 0.374
F3 F 0.947 0.836 0.552
```

*c*
This record from the Materials Project describes crystalline Na3MgMoO3F3 at its relaxed geometry. The functional is PBE+U.

CIF file:
```
data_Na3MgMoO3F3
_symmetry_space_group_name_H-M 'R 3'
_symmetry_Int_Tables_number 146
_symmetry_space_group_name_Hall 'R 3'
_cell_length_a 5.6483
_cell_length_b 5.6483
_cell_length_c 15.9106
_cell_angle_alpha 90.00
_cell_angle_beta 90.00
_cell_angle_gamma 120.00
loop_
_atom_site_label
_atom_site_type_symbol
_atom_site_fract_x
_atom_site_fract_y
_atom_site_fract_z
Na1 Na 0.0000 0.0000 0.0000
Na2 Na 0.0000 0.0000 0.1699
Na3 Na 0.0000 0.0000 0.7302
Mg1 Mg 0.0000 0.0000 0.3448
Mo1 Mo 0.0000 0.0000 0.5089
O1 O 0.0737 0.3770 0.1011
F1 F 0.0037 0.6114 0.9372
```

Most stable to least stable, the ends of the list are *a* and *c*.